1.
The following is a DFT calculation (GGA-PBE) of NaLa2Ti2P3S3O24 after structural relaxation.

Cell: 9.044 9.040 23.523 Å, 90.39 90.09 120.20°
Positions (direct):
1 P 0.660 0.004 0.084
2 P 0.740 0.731 0.251
3 P 0.343 0.330 0.084
4 P 0.742 0.012 0.752
5 P 0.045 0.676 0.415
6 P 0.986 0.731 0.753
7 P 0.050 0.370 0.915
8 P 0.314 0.363 0.414
9 P 0.271 0.005 0.249
10 O 0.155 0.962 0.909
11 O 0.408 0.124 0.535
12 O 0.177 0.018 0.196
13 O 0.162 0.489 0.567
14 O 0.621 0.539 0.633
15 O 0.463 0.333 0.427
16 O 0.415 0.285 0.033
17 O 0.151 0.726 0.749
18 O 0.838 0.282 0.252
19 O 0.801 0.843 0.910
20 O 0.842 0.826 0.197
21 O 0.169 0.472 0.968
22 O 0.146 0.190 0.406
23 O 0.607 0.076 0.135
24 O 0.120 0.644 0.362
25 O 0.282 0.425 0.748
26 O 0.666 0.536 0.923
27 O 0.449 0.167 0.254
28 O 0.177 0.002 0.307
29 O 0.346 0.880 0.864
30 O 0.170 0.981 0.599
31 O 0.843 0.020 0.697
32 O 0.042 0.847 0.409
33 O 0.042 0.193 0.906
34 O 0.716 0.591 0.535
35 O 0.833 0.831 0.307
36 O 0.320 0.488 0.068
37 O 0.278 0.840 0.244
38 O 0.566 0.722 0.245
39 O 0.020 0.828 0.097
40 O 0.574 0.844 0.749
41 O 0.530 0.651 0.865
42 O 0.182 0.165 0.698
43 O 0.665 0.127 0.427
44 O 0.150 0.435 0.245
45 O 0.130 0.478 0.862
46 O 0.300 0.851 0.967
47 O 0.164 0.692 0.468
48 O 0.534 0.886 0.366
49 O 0.713 0.125 0.033
50 O 0.875 0.284 0.534
51 O 0.504 0.825 0.066
52 O 0.864 0.528 0.425
53 O 0.801 0.956 0.414
54 O 0.443 0.275 0.751
55 O 0.323 0.838 0.569
56 O 0.998 0.178 0.302
57 O 0.869 0.338 0.924
58 O 0.513 0.676 0.569
59 O 0.981 0.822 0.697
60 O 0.167 0.677 0.071
61 O 0.810 0.829 0.599
62 O 0.544 0.697 0.967
63 O 0.985 0.828 0.807
64 O 0.164 0.183 0.100
65 O 0.810 0.975 0.101
66 O 0.841 0.021 0.808
67 O 0.462 0.083 0.633
68 O 0.298 0.470 0.467
69 O 0.922 0.384 0.632
70 O 0.882 0.586 0.034
71 O 0.724 0.173 0.752
72 O 0.023 0.193 0.598
73 O 0.462 0.132 0.921
74 O 0.920 0.538 0.133
75 O 0.354 0.474 0.362
76 O 0.534 0.840 0.468
77 O 0.185 0.168 0.804
78 O 0.468 0.390 0.135
79 O 0.726 0.555 0.253
80 O 0.985 0.171 0.196
81 O 0.823 0.553 0.753
82 Ti 0.011 0.990 0.356
83 Ti 0.996 0.998 0.147
84 Ti 0.993 0.990 0.651
85 Ti 0.330 0.649 0.018
86 Ti 0.319 0.655 0.509
87 Ti 0.991 0.001 0.859
88 S 0.993 0.265 0.250
89 S 0.661 0.656 0.584
90 S 0.993 0.335 0.583
91 S 0.635 0.952 0.418
92 S 0.633 0.679 0.916
93 S 0.993 0.654 0.084
94 S 0.271 0.257 0.751
95 S 0.315 0.952 0.916
96 S 0.341 0.005 0.584
97 La 0.330 0.670 0.800
98 La 0.675 0.335 0.686
99 La 0.662 0.335 0.488
100 La 0.664 0.321 0.990
101 La 0.338 0.670 0.305
102 La 0.653 0.327 0.184
103 Na 0.350 0.682 0.163
104 Na 0.663 0.343 0.332
105 Na 0.682 0.336 0.836

Summary:
The crystal system is triclinic. The formation energy is -2782 meV per atom. Its space group is P1, No. 1. The calculated volume is 15.83 Å³ per atom. The energy is -7.293 eV per atom.

2.
The following is a DFT calculation (GGA-PBE) of Ta3SBr7 after structural relaxation.

Cell: 7.164 7.164 9.273 Å, 55.12 55.12 60.00°
Positions (direct):
1 Ta 0.647 0.647 0.387
2 Ta 0.647 0.245 0.387
3 Ta 0.245 0.647 0.387
4 Br 0.611 0.116 0.182
5 Br 0.727 0.224 0.633
6 Br 0.224 0.727 0.633
7 Br 0.116 0.116 0.182
8 Br 0.224 0.224 0.634
9 Br 0.748 0.748 0.587
10 Br 0.116 0.611 0.182
11 S 0.637 0.637 0.136

Summary:
The crystal system is monoclinic. The formation energy is -1319 meV per atom. Its space group is Cm, No. 8. The calculated volume is 28.14 Å³ per atom. The energy is -5.585 eV per atom.

3.
The following is a DFT calculation (GGA-PBE) of Sr4Ga2O7 after structural relaxation.

Cell: 13.181 15.930 16.000 Å, 90.00 90.73 90.00°
Positions (direct):
1 O 0.534 0.992 0.864
2 O 0.305 0.878 0.685
3 O 0.565 0.511 0.354
4 O 0.346 0.745 0.113
5 O 0.565 0.640 0.207
6 O 0.119 0.230 0.208
7 O 0.943 0.884 0.161
8 O 0.121 0.003 0.957
9 O 0.681 0.696 0.415
10 O 0.170 0.444 0.237
11 O 0.534 0.008 0.364
12 O 0.952 0.925 0.604
13 O 0.119 0.244 0.663
14 O 0.237 0.500 0.580
15 O 0.630 0.632 0.973
16 O 0.284 0.406 0.928
17 O 0.760 0.512 0.461
18 O 0.119 0.756 0.163
19 O 0.602 0.336 0.263
20 O 0.237 0.500 0.080
21 O 0.601 0.978 0.059
22 O 0.959 0.172 0.856
23 O 0.305 0.122 0.185
24 O 0.577 0.284 0.084
25 O 0.083 0.247 0.005
26 O 0.912 0.335 0.494
27 O 0.121 0.997 0.457
28 O 0.771 0.497 0.185
29 O 0.681 0.304 0.915
30 O 0.598 0.137 0.972
31 O 0.771 0.503 0.685
32 O 0.170 0.556 0.737
33 O 0.601 0.022 0.559
34 O 0.559 0.857 0.708
35 O 0.760 0.488 0.961
36 O 0.971 0.586 0.174
37 O 0.119 0.770 0.708
38 O 0.407 0.476 0.209
39 O 0.083 0.753 0.505
40 O 0.477 0.234 0.440
41 O 0.624 0.222 0.584
42 O 0.768 0.278 0.719
43 O 0.346 0.255 0.613
44 O 0.565 0.489 0.854
45 O 0.264 0.997 0.823
46 O 0.407 0.524 0.709
47 O 0.959 0.828 0.356
48 O 0.723 0.206 0.420
49 O 0.602 0.664 0.763
50 O 0.556 0.515 0.552
51 O 0.927 0.125 0.467
52 O 0.284 0.594 0.428
53 O 0.853 0.775 0.509
54 O 0.592 0.164 0.761
55 O 0.559 0.143 0.208
56 O 0.763 0.766 0.690
57 O 0.624 0.778 0.084
58 O 0.342 0.402 0.455
59 O 0.723 0.794 0.920
60 O 0.947 0.358 0.881
61 O 0.763 0.234 0.190
62 O 0.630 0.368 0.473
63 O 0.778 0.989 0.697
64 O 0.952 0.075 0.104
65 O 0.768 0.722 0.219
66 O 0.936 0.550 0.807
67 O 0.311 0.741 0.809
68 O 0.417 0.035 0.689
69 O 0.912 0.665 0.994
70 O 0.477 0.766 0.940
71 O 0.100 0.758 0.951
72 O 0.313 0.102 0.978
73 O 0.592 0.836 0.261
74 O 0.565 0.360 0.707
75 O 0.445 0.273 0.931
76 O 0.778 0.011 0.197
77 O 0.296 0.717 0.604
78 O 0.759 0.980 0.433
79 O 0.342 0.598 0.955
80 O 0.971 0.414 0.674
81 O 0.256 0.382 0.731
82 O 0.417 0.965 0.189
83 O 0.311 0.259 0.309
84 O 0.170 0.975 0.161
85 O 0.759 0.020 0.933
86 O 0.270 0.205 0.797
87 O 0.943 0.116 0.661
88 O 0.296 0.283 0.104
89 O 0.853 0.225 0.009
90 O 0.314 0.898 0.970
91 O 0.270 0.795 0.297
92 O 0.170 0.025 0.661
93 O 0.944 0.602 0.612
94 O 0.598 0.863 0.472
95 O 0.927 0.875 0.967
96 O 0.264 0.003 0.323
97 O 0.556 0.485 0.052
98 O 0.100 0.242 0.451
99 O 0.936 0.450 0.307
100 O 0.944 0.398 0.112
101 O 0.933 0.240 0.323
102 O 0.314 0.102 0.470
103 O 0.256 0.618 0.231
104 O 0.114 0.462 0.436
105 O 0.577 0.716 0.584
106 O 0.933 0.760 0.823
107 O 0.114 0.538 0.936
108 O 0.975 0.024 0.294
109 O 0.947 0.642 0.381
110 O 0.313 0.898 0.478
111 O 0.445 0.727 0.431
112 O 0.975 0.976 0.794
113 Sr 0.142 0.891 0.581
114 Sr 0.600 0.012 0.718
115 Sr 0.142 0.109 0.081
116 Sr 0.084 0.349 0.325
117 Sr 0.089 0.367 0.570
118 Sr 0.808 0.889 0.827
119 Sr 0.773 0.881 0.060
120 Sr 0.432 0.384 0.820
121 Sr 0.750 0.173 0.858
122 Sr 0.947 0.257 0.727
123 Sr 0.287 0.747 0.962
124 Sr 0.773 0.119 0.560
125 Sr 0.088 0.120 0.564
126 Sr 0.447 0.127 0.084
127 Sr 0.749 0.885 0.583
128 Sr 0.132 0.629 0.597
129 Sr 0.088 0.880 0.064
130 Sr 0.808 0.111 0.327
131 Sr 0.758 0.357 0.054
132 Sr 0.943 0.234 0.153
133 Sr 0.600 0.988 0.218
134 Sr 0.778 0.337 0.334
135 Sr 0.447 0.873 0.584
136 Sr 0.461 0.374 0.575
137 Sr 0.461 0.626 0.075
138 Sr 0.443 0.370 0.333
139 Sr 0.084 0.651 0.825
140 Sr 0.755 0.402 0.822
141 Sr 0.418 0.616 0.559
142 Sr 0.259 0.748 0.443
143 Sr 0.429 0.875 0.336
144 Sr 0.593 0.521 0.703
145 Sr 0.943 0.766 0.653
146 Sr 0.259 0.252 0.943
147 Sr 0.938 0.497 0.955
148 Sr 0.418 0.384 0.059
149 Sr 0.750 0.827 0.358
150 Sr 0.771 0.621 0.086
151 Sr 0.089 0.633 0.070
152 Sr 0.947 0.743 0.227
153 Sr 0.098 0.568 0.308
154 Sr 0.453 0.130 0.573
155 Sr 0.429 0.125 0.836
156 Sr 0.102 0.877 0.832
157 Sr 0.432 0.616 0.320
158 Sr 0.944 0.038 0.944
159 Sr 0.938 0.503 0.455
160 Sr 0.098 0.432 0.808
161 Sr 0.443 0.630 0.833
162 Sr 0.132 0.371 0.097
163 Sr 0.431 0.871 0.829
164 Sr 0.758 0.643 0.554
165 Sr 0.114 0.896 0.286
166 Sr 0.114 0.104 0.786
167 Sr 0.755 0.598 0.322
168 Sr 0.771 0.379 0.586
169 Sr 0.287 0.253 0.462
170 Sr 0.102 0.123 0.332
171 Sr 0.749 0.115 0.083
172 Sr 0.944 0.962 0.444
173 Sr 0.431 0.129 0.329
174 Sr 0.453 0.870 0.073
175 Sr 0.778 0.663 0.834
176 Sr 0.593 0.479 0.203
177 Ga 0.963 0.255 0.941
178 Ga 0.262 0.235 0.205
179 Ga 0.912 0.520 0.694
180 Ga 0.250 0.488 0.463
181 Ga 0.920 0.004 0.689
182 Ga 0.275 0.507 0.192
183 Ga 0.262 0.765 0.705
184 Ga 0.611 0.252 0.467
185 Ga 0.621 0.754 0.694
186 Ga 0.920 0.996 0.189
187 Ga 0.250 0.512 0.963
188 Ga 0.617 0.982 0.451
189 Ga 0.953 0.763 0.941
190 Ga 0.628 0.256 0.699
191 Ga 0.254 0.735 0.198
192 Ga 0.617 0.018 0.951
193 Ga 0.575 0.254 0.968
194 Ga 0.963 0.745 0.441
195 Ga 0.292 0.993 0.708
196 Ga 0.621 0.485 0.456
197 Ga 0.621 0.515 0.956
198 Ga 0.611 0.748 0.967
199 Ga 0.261 0.000 0.941
200 Ga 0.621 0.246 0.194
201 Ga 0.254 0.265 0.698
202 Ga 0.628 0.744 0.199
203 Ga 0.275 0.493 0.692
204 Ga 0.912 0.480 0.194
205 Ga 0.261 0.000 0.441
206 Ga 0.953 0.237 0.441
207 Ga 0.575 0.746 0.468
208 Ga 0.292 0.007 0.208

Summary:
The crystal system is monoclinic. The formation energy is -2852 meV per atom. Its space group is Pc, No. 7. The calculated volume is 16.15 Å³ per atom. The energy is -6.132 eV per atom.

> The highest energy belongs to which entry?

Ta3SBr7

> energy of number 2 (Ta3SBr7)?

-5.585 eV per atom

> Which of these has the lowest energy?

NaLa2Ti2P3S3O24

> energy of number 1 (NaLa2Ti2P3S3O24)?

-7.293 eV per atom